# HfCrCuS4, optimized geometry, DFT PBE
data_HfCrCuS4
_cell_length_a 7.316
_cell_length_b 6.650
_cell_length_c 11.512
_cell_angle_alpha 90.00
_cell_angle_beta 90.00
_cell_angle_gamma 90.00
_space_group_name_H-M_alt 'P m n 21'
_space_group_IT_number 31
_space_group_name_Hall 'P 2ac -2'
loop_
_atom_site_label
_atom_site_fract_x
_atom_site_fract_y
_atom_site_fract_z
Hf1 0.000 0.172 0.000
Hf2 0.000 0.299 0.702
Cr1 0.000 0.653 0.541
Cr2 0.000 0.803 0.786
Cu1 0.000 0.034 0.387
Cu2 0.000 0.565 0.109
S1 0.000 0.350 0.473
S2 0.000 0.514 0.909
S3 0.000 0.899 0.127
S4 0.000 0.975 0.605
S5 0.213 0.063 0.846
S6 0.231 0.593 0.677
# E (MP2020), eV per atom: -6.666
# Final energy, hartree per atom: -0.2344
# Excess energy over the best structure of this formula in the dataset, meV/atom: 373
# ΔE_f, eV/atom: -0.9156
# Spin magnetization, μB/cell: 12.00
# V, Å³ per cell: 560.11